1.
# Na2ScGeP3O12

A relaxed Na2ScGeP3O12 crystal (GGA-PBE, Materials Project).

Cell lengths 8.741, 8.741, 22.149 Å; angles 90.21, 89.79, 120.42 degrees
Fractional coordinates of all 114 atoms:
O 0.810 0.017 0.810
O 0.476 0.351 0.143
O 0.124 0.498 0.859
O 0.505 0.624 0.856
O 0.839 0.291 0.523
O 0.649 0.524 0.643
O 0.186 0.150 0.090
O 0.868 0.358 0.637
O 0.127 0.620 0.362
O 0.376 0.495 0.356
O 0.535 0.691 0.970
O 0.474 0.329 0.744
O 0.380 0.873 0.862
O 0.871 0.519 0.139
O 0.015 0.819 0.412
O 0.519 0.816 0.756
O 0.852 0.483 0.423
O 0.637 0.152 0.422
O 0.181 0.197 0.410
O 0.168 0.210 0.692
O 0.848 0.363 0.922
O 0.970 0.819 0.089
O 0.148 0.463 0.972
O 0.835 0.543 0.025
O 0.642 0.132 0.137
O 0.815 0.796 0.306
O 0.790 0.832 0.192
O 0.850 0.814 0.590
O 0.794 0.954 0.696
O 0.470 0.153 0.244
O 0.976 0.799 0.803
O 0.143 0.684 0.476
O 0.005 0.193 0.911
O 0.046 0.206 0.196
O 0.338 0.859 0.577
O 0.537 0.852 0.472
O 0.303 0.485 0.755
O 0.201 0.024 0.303
O 0.204 0.185 0.806
O 0.184 0.481 0.256
O 0.983 0.190 0.310
O 0.502 0.876 0.359
O 0.514 0.651 0.578
O 0.042 0.828 0.690
O 0.172 0.958 0.190
O 0.847 0.318 0.245
O 0.141 0.662 0.077
O 0.515 0.697 0.255
O 0.851 0.036 0.090
O 0.316 0.857 0.976
O 0.184 0.702 0.757
O 0.517 0.369 0.423
O 0.349 0.486 0.078
O 0.807 0.995 0.411
O 0.803 0.819 0.910
O 0.964 0.149 0.590
O 0.460 0.287 0.029
O 0.457 0.165 0.525
O 0.713 0.540 0.529
O 0.481 0.129 0.639
O 0.136 0.486 0.577
O 0.631 0.483 0.923
O 0.671 0.526 0.244
O 0.847 0.530 0.744
O 0.514 0.864 0.077
O 0.517 0.148 0.923
O 0.181 0.030 0.589
O 0.682 0.153 0.745
O 0.181 0.985 0.912
O 0.298 0.816 0.257
O 0.709 0.161 0.023
O 0.309 0.465 0.470
Ge 0.669 0.341 0.982
Ge 0.326 0.664 0.815
Ge 0.659 0.331 0.482
Ge 0.336 0.674 0.315
Ge 0.002 0.007 0.648
Ge 0.993 0.998 0.148
Sc 0.008 0.001 0.854
Sc 0.341 0.668 0.521
Sc 0.999 0.992 0.354
Sc 0.665 0.326 0.687
Sc 0.332 0.659 0.021
Sc 0.674 0.335 0.187
Na 0.666 0.332 0.833
Na 0.001 0.000 0.000
Na 0.975 0.303 0.417
Na 0.333 0.666 0.166
Na 0.642 0.636 0.750
Na 0.031 0.692 0.583
Na 0.668 0.334 0.333
Na 0.000 0.999 0.500
Na 0.334 0.667 0.666
Na 0.697 0.025 0.917
Na 0.364 0.358 0.250
Na 0.308 0.969 0.083
P 0.679 0.049 0.083
P 0.704 0.715 0.250
P 0.340 0.961 0.919
P 0.037 0.382 0.917
P 0.373 0.327 0.085
P 0.618 0.963 0.417
P 0.285 0.987 0.249
P 0.618 0.654 0.916
P 0.285 0.296 0.750
P 0.006 0.294 0.252
P 0.039 0.660 0.419
P 0.951 0.321 0.583
P 0.951 0.630 0.083
P 0.013 0.715 0.749
P 0.346 0.382 0.416
P 0.370 0.049 0.583
P 0.673 0.627 0.585
P 0.706 0.994 0.752

**Formation energy**: -52.26 eV per formula unit
**Total magnetization**: 0.00 μB/f.u.
**Energy with MP2020 corrections**: -7.45 eV per atom

=====

2.
# SiO2

A relaxed SiO2 crystal (GGA-PBE, Materials Project).

Cell lengths 9.584, 9.584, 9.889 Å; angles 90.00, 90.00, 90.00 degrees
Fractional coordinates of all 36 atoms:
O 0.235 0.939 0.163
O 0.024 0.494 0.972
O 0.524 0.006 0.778
O 0.699 0.814 0.626
O 0.494 0.024 0.028
O 0.994 0.476 0.722
O 0.186 0.301 0.874
O 0.301 0.186 0.126
O 0.506 0.976 0.528
O 0.439 0.265 0.913
O 0.735 0.561 0.587
O 0.061 0.765 0.337
O 0.476 0.994 0.278
O 0.314 0.801 0.376
O 0.686 0.199 0.876
O 0.814 0.699 0.374
O 0.199 0.686 0.124
O 0.801 0.314 0.624
O 0.939 0.235 0.837
O 0.765 0.061 0.663
O 0.561 0.735 0.413
O 0.265 0.439 0.087
O 0.976 0.506 0.472
O 0.006 0.524 0.222
Si 0.702 0.702 0.500
Si 0.465 0.877 0.399
Si 0.298 0.298 0.000
Si 0.965 0.623 0.351
Si 0.877 0.465 0.601
Si 0.202 0.798 0.250
Si 0.035 0.377 0.851
Si 0.123 0.535 0.101
Si 0.535 0.123 0.899
Si 0.377 0.035 0.149
Si 0.623 0.965 0.649
Si 0.798 0.202 0.750

**Formation energy**: -9.26 eV per formula unit
**Total magnetization**: 0.00 μB/f.u.
**Energy with MP2020 corrections**: -8.19 eV per atom
**Space-group type**: P4_12_12

=====

3.
# Cu4Sn15S32

A relaxed Cu4Sn15S32 crystal (GGA-PBE, Materials Project).

Cell lengths 7.445, 7.455, 59.715 Å; angles 60.04, 60.00, 59.96 degrees
Fractional coordinates of all 102 atoms:
Cu 0.250 0.250 0.656
Cu 0.264 0.251 0.279
Cu 0.249 0.249 0.907
Cu 0.271 0.237 0.157
Cu 0.251 0.251 0.406
Cu 0.250 0.249 0.782
Cu 0.251 0.250 0.531
Cu 0.233 0.231 0.038
Sn 0.628 0.115 0.704
Sn 0.626 0.627 0.956
Sn 0.096 0.626 0.956
Sn 0.115 0.628 0.704
Sn 0.631 0.630 0.077
Sn 0.628 0.628 0.514
Sn 0.112 0.628 0.829
Sn 0.628 0.628 0.764
Sn 0.628 0.630 0.328
Sn 0.617 0.631 0.140
Sn 0.121 0.629 0.328
Sn 0.122 0.631 0.077
Sn 0.628 0.627 0.204
Sn 0.628 0.112 0.829
Sn 0.628 0.115 0.579
Sn 0.115 0.628 0.453
Sn 0.115 0.628 0.579
Sn 0.628 0.628 0.829
Sn 0.628 0.115 0.453
Sn 0.628 0.628 0.639
Sn 0.628 0.121 0.328
Sn 0.629 0.631 0.389
Sn 0.628 0.629 0.579
Sn 0.631 0.122 0.077
Sn 0.620 0.621 0.892
Sn 0.628 0.628 0.704
Sn 0.656 0.635 0.259
Sn 0.626 0.096 0.956
Sn 0.628 0.115 0.204
Sn 0.628 0.628 0.453
S 0.873 0.874 0.297
S 0.874 0.874 0.422
S 0.874 0.378 0.484
S 0.869 0.377 0.547
S 0.377 0.377 0.547
S 0.378 0.378 0.858
S 0.378 0.379 0.108
S 0.872 0.873 0.359
S 0.887 0.887 0.982
S 0.874 0.383 0.859
S 0.378 0.863 0.297
S 0.863 0.380 0.047
S 0.380 0.862 0.173
S 0.863 0.380 0.922
S 0.860 0.371 0.235
S 0.380 0.863 0.922
S 0.377 0.377 0.734
S 0.377 0.874 0.734
S 0.870 0.870 0.109
S 0.867 0.378 0.797
S 0.874 0.378 0.734
S 0.377 0.874 0.484
S 0.377 0.870 0.547
S 0.378 0.378 0.797
S 0.875 0.876 0.047
S 0.384 0.875 0.108
S 0.381 0.873 0.359
S 0.874 0.874 0.609
S 0.874 0.874 0.734
S 0.870 0.391 0.109
S 0.872 0.383 0.359
S 0.874 0.377 0.609
S 0.874 0.874 0.547
S 0.377 0.377 0.609
S 0.380 0.376 0.173
S 0.854 0.878 0.174
S 0.868 0.378 0.422
S 0.376 0.875 0.609
S 0.378 0.867 0.797
S 0.380 0.380 0.922
S 0.377 0.868 0.422
S 0.869 0.376 0.297
S 0.378 0.378 0.983
S 0.874 0.874 0.672
S 0.377 0.377 0.672
S 0.874 0.874 0.484
S 0.378 0.380 0.297
S 0.887 0.369 0.982
S 0.870 0.377 0.172
S 0.372 0.872 0.235
S 0.368 0.888 0.982
S 0.874 0.874 0.797
S 0.377 0.378 0.422
S 0.874 0.874 0.859
S 0.869 0.377 0.672
S 0.860 0.888 0.235
S 0.382 0.874 0.859
S 0.380 0.380 0.047
S 0.380 0.863 0.047
S 0.377 0.377 0.484
S 0.379 0.379 0.233
S 0.377 0.870 0.672
S 0.378 0.377 0.359
S 0.873 0.872 0.923

**Formation energy**: -31.40 eV per formula unit
**Total magnetization**: 0.36 μB/f.u.
**Energy with MP2020 corrections**: -4.71 eV per atom
**Space-group type**: Cm

=====

4.
# Ho5Ir3

A relaxed Ho5Ir3 crystal (GGA-PBE, Materials Project).

Cell lengths 10.846, 10.846, 6.360 Å; angles 90.00, 90.00, 90.00 degrees
Fractional coordinates of all 32 atoms:
Ho 0.912 0.709 0.122
Ho 0.500 0.500 0.000
Ho 0.000 0.000 0.500
Ho 0.000 0.000 0.000
Ho 0.709 0.912 0.378
Ho 0.588 0.209 0.378
Ho 0.412 0.209 0.878
Ho 0.709 0.088 0.878
Ho 0.588 0.791 0.878
Ho 0.088 0.709 0.622
Ho 0.412 0.791 0.378
Ho 0.291 0.912 0.878
Ho 0.791 0.412 0.122
Ho 0.088 0.291 0.122
Ho 0.291 0.088 0.378
Ho 0.209 0.412 0.622
Ho 0.791 0.588 0.622
Ho 0.209 0.588 0.122
Ho 0.500 0.500 0.500
Ho 0.912 0.291 0.622
Ir 0.500 0.000 0.620
Ir 0.154 0.154 0.750
Ir 0.500 0.000 0.120
Ir 0.154 0.846 0.250
Ir 0.654 0.346 0.750
Ir 0.346 0.654 0.750
Ir 0.654 0.654 0.250
Ir 0.346 0.346 0.250
Ir 0.846 0.154 0.250
Ir 0.000 0.500 0.880
Ir 0.846 0.846 0.750
Ir 0.000 0.500 0.380

**Formation energy**: -6.70 eV per formula unit
**Relative energy among the computed polymorphs**: 0 meV per atom
**Space-group type**: P4/ncc

=====

5.
# La2CeS4

A relaxed La2CeS4 crystal (GGA-PBE, Materials Project).

Cell lengths 7.543, 7.543, 7.543 Å; angles 109.37, 109.37, 109.67 degrees
Fractional coordinates of all 14 atoms:
S 0.378 0.128 0.101
S 0.723 0.622 0.750
S 0.026 0.277 0.899
S 0.378 0.128 0.601
S 0.527 0.776 0.399
S 0.224 0.622 0.750
S 0.872 0.473 0.250
S 0.872 0.974 0.250
La 0.125 0.750 0.125
La 0.250 0.375 0.375
La 0.000 0.875 0.625
La 0.625 0.000 0.875
Ce 0.750 0.250 0.500
Ce 0.500 0.500 0.000

**Formation energy**: -16.79 eV per formula unit
**Total magnetization**: 1.93 μB/f.u.
**Energy with MP2020 corrections**: -7.02 eV per atom
**Space-group type**: I-42d

=====

6.
# SiIr

A relaxed SiIr crystal (GGA-PBE, Materials Project).

Cell lengths 3.220, 5.596, 6.388 Å; angles 90.00, 90.00, 90.00 degrees
Fractional coordinates of all 8 atoms:
Si 0.250 0.183 0.440
Si 0.750 0.317 0.940
Si 0.250 0.683 0.060
Si 0.750 0.817 0.560
Ir 0.750 0.498 0.294
Ir 0.750 0.998 0.206
Ir 0.250 0.502 0.706
Ir 0.250 0.002 0.794

**Formation energy**: -1.40 eV per formula unit
**Space-group type**: Pnma

=====

7.
# CuPS2

A relaxed CuPS2 crystal (GGA-PBE, Materials Project).

Cell lengths 4.037, 4.037, 5.500 Å; angles 90.00, 90.00, 120.00 degrees
Fractional coordinates of all 4 atoms:
S 0.000 0.000 0.373
S 0.333 0.667 0.905
P 0.000 0.000 0.992
Cu 0.333 0.667 0.492

**Formation energy**: -0.97 eV per formula unit
**Total magnetization**: 0.00 μB/f.u.
**Energy with MP2020 corrections**: -4.69 eV per atom
**Space-group type**: P3m1

=====

8.
# SrIn2O4

A relaxed SrIn2O4 crystal (GGA-PBE, Materials Project).

Cell lengths 3.321, 9.970, 11.665 Å; angles 90.00, 90.00, 90.00 degrees
Fractional coordinates of all 28 atoms:
O 0.250 0.976 0.282
O 0.250 0.794 0.831
O 0.250 0.082 0.926
O 0.250 0.582 0.574
O 0.750 0.024 0.718
O 0.750 0.121 0.479
O 0.250 0.294 0.669
O 0.750 0.621 0.021
O 0.750 0.706 0.331
O 0.750 0.918 0.074
O 0.750 0.418 0.426
O 0.750 0.206 0.169
O 0.750 0.524 0.782
O 0.250 0.379 0.979
O 0.250 0.879 0.521
O 0.250 0.476 0.218
In 0.250 0.581 0.893
In 0.250 0.081 0.607
In 0.750 0.419 0.107
In 0.250 0.070 0.111
In 0.250 0.570 0.389
In 0.750 0.919 0.393
In 0.750 0.430 0.611
In 0.750 0.930 0.889
Sr 0.250 0.744 0.152
Sr 0.750 0.256 0.848
Sr 0.250 0.244 0.348
Sr 0.750 0.756 0.652

**Formation energy**: -16.50 eV per formula unit
**Energy with MP2020 corrections**: -6.21 eV per atom
**Space-group type**: Pnma

=====

9.
# Gd2Zr2O7

A relaxed Gd2Zr2O7 crystal (GGA-PBE, Materials Project).

Cell lengths 6.986, 7.509, 12.177 Å; angles 81.30, 90.00, 90.00 degrees
Fractional coordinates of all 44 atoms:
O 0.939 0.187 0.748
O 0.229 0.524 0.675
O 0.680 0.007 0.936
O 0.607 0.802 0.203
O 0.897 0.622 0.068
O 0.061 0.813 0.252
O 0.729 0.476 0.825
O 0.561 0.187 0.248
O 0.893 0.802 0.703
O 0.439 0.813 0.752
O 0.001 0.313 0.529
O 0.619 0.161 0.576
O 0.103 0.378 0.932
O 0.499 0.313 0.029
O 0.501 0.687 0.971
O 0.771 0.476 0.325
O 0.107 0.198 0.297
O 0.119 0.839 0.924
O 0.180 0.993 0.564
O 0.320 0.993 0.064
O 0.393 0.198 0.797
O 0.381 0.839 0.424
O 0.881 0.161 0.076
O 0.397 0.378 0.432
O 0.820 0.007 0.436
O 0.603 0.622 0.568
O 0.999 0.687 0.471
O 0.271 0.524 0.175
Zr 0.888 0.052 0.614
Zr 0.642 0.249 0.398
Zr 0.142 0.751 0.102
Zr 0.358 0.751 0.602
Zr 0.112 0.948 0.386
Zr 0.612 0.052 0.114
Zr 0.388 0.948 0.886
Zr 0.858 0.249 0.898
Gd 0.110 0.475 0.361
Gd 0.679 0.746 0.387
Gd 0.821 0.746 0.887
Gd 0.610 0.525 0.139
Gd 0.321 0.254 0.613
Gd 0.390 0.475 0.861
Gd 0.890 0.525 0.639
Gd 0.179 0.254 0.113

**Formation energy**: -41.49 eV per formula unit
**Total magnetization**: 14.00 μB/f.u.
**Energy with MP2020 corrections**: -11.03 eV per atom
**Space-group type**: P2_1/c